Ca2Sn5Pt3 (PBE, optimized geometry); ΔE_f = -0.72 eV per atom
1.0
7.499 0.000 0.000
0.000 4.510 0.000
0.000 0.000 26.795
Ca Sn Pt
8 20 12
Direct
0.215 0.250 0.227
0.247 0.250 0.923
0.253 0.750 0.423
0.285 0.750 0.727
0.715 0.250 0.273
0.747 0.250 0.577
0.753 0.750 0.077
0.785 0.750 0.773
0.036 0.750 0.543
0.040 0.250 0.044
0.092 0.250 0.347
0.122 0.250 0.798
0.212 0.750 0.131
0.288 0.250 0.631
0.378 0.750 0.298
0.408 0.750 0.847
0.460 0.750 0.544
0.464 0.250 0.043
0.536 0.750 0.957
0.540 0.250 0.456
0.592 0.250 0.153
0.622 0.250 0.702
0.712 0.750 0.369
0.788 0.250 0.869
0.878 0.750 0.202
0.908 0.750 0.653
0.960 0.750 0.956
0.964 0.250 0.457
0.000 0.250 0.700
0.000 0.750 0.300
0.040 0.750 0.857
0.244 0.250 0.527
0.256 0.750 0.027
0.460 0.250 0.357
0.500 0.250 0.800
0.500 0.750 0.200
0.540 0.750 0.643
0.744 0.250 0.973
0.756 0.750 0.473
0.960 0.250 0.143



CaTmPt2 (PBE, optimized geometry); ΔE_f = -1.08 eV per atom
1.0
0.000 3.461 3.461
3.461 0.000 3.461
3.461 3.461 0.000
Ca Tm Pt
1 1 2
Direct
0.000 0.000 0.000
0.500 0.500 0.500
0.250 0.250 0.250
0.750 0.750 0.750